[1]
24
Lattice="6.0696 -3.4892 0.0000 6.0696 3.4892 0.0000 -5.8073 0.0000 13.1537" Properties=species:S:1:pos:R:3 comment="Nb3IrSe8, relaxed, DFT r2SCAN" formation_energy_ev_per_atom=-0.815 pbc="T T T"
Nb 3.1660 2.8346 6.5769
Nb 0.3407 0.7433 6.5346
Nb -2.5630 -0.7433 13.1114
Nb 6.3344 0.9195 6.5490
Nb 3.4307 -0.9195 13.1258
Nb 6.0696 -2.8346 0.0000
Ir -0.0099 1.0486 13.1342
Ir 2.8937 -1.0486 6.5573
Se 4.9876 2.6637 1.7822
Se 2.1005 0.8267 1.6214
Se -1.8079 0.9257 11.3376
Se 1.3013 2.5236 11.5256
Se -0.8031 -0.8267 8.1982
Se 2.2660 0.8212 8.1608
Se 1.0957 -0.9257 4.7607
Se 4.0690 0.7300 5.1761
Se 7.9300 0.9151 1.3511
Se 5.1697 -0.8212 1.5839
Se 1.1653 -0.7300 11.7530
Se 4.4072 0.8536 11.4713
Se 5.0263 -0.9151 7.9280
Se 2.0839 -2.6637 8.3591
Se 4.2049 -2.5236 4.9488
Se 7.3109 -0.8536 4.8944



[2]
24
Lattice="6.0381 -3.5090 0.0000 6.0381 3.5090 0.0000 -6.0005 0.0000 13.1172" Properties=species:S:1:pos:R:3 comment="Nb3IrSe8, relaxed, DFT r2SCAN" formation_energy_ev_per_atom=-0.815 pbc="T T T"
Nb 1.5377 2.4924 9.8379
Nb -1.2803 0.7703 9.8210
Nb 1.7200 -0.7703 3.2624
Nb 4.3557 0.7703 9.8549
Nb 7.3559 -0.7703 3.2963
Nb 4.5380 -2.4924 3.2793
Ir 4.5380 0.5524 3.2793
Ir 1.5377 -0.5524 9.8379
Se 3.5895 2.4669 1.8995
Se -0.4929 2.5488 11.4911
Se 0.5408 0.9472 8.0382
Se 3.5684 2.5488 8.1847
Se 2.6043 0.9471 4.8798
Se 5.4864 2.4669 4.6591
Se 6.4716 0.9471 1.6788
Se 3.5411 -0.9472 1.4796
Se 2.5346 0.9472 11.6377
Se -0.3959 -0.9471 11.4385
Se 0.5893 -2.4669 8.4581
Se 3.4714 -0.9471 8.2374
Se 2.5073 -2.5488 4.9325
Se 5.5349 -0.9472 5.0790
Se 6.5686 -2.5488 1.6261
Se 2.4862 -2.4669 11.2178



[3]
32
Lattice="11.2340 0.0000 0.0000 0.0000 11.2340 0.0000 0.0000 0.0000 6.5601" Properties=species:S:1:pos:R:3 comment="Nd5Ir3, relaxed, DFT r2SCAN" formation_energy_ev_per_atom=-0.717 pbc="T T T"
Nd 0.4775 1.7893 0.7398
Nd 0.4775 3.8277 4.0198
Nd 1.7893 0.4775 4.0198
Nd 1.7893 5.1395 0.7398
Nd 2.8085 8.4255 0.0000
Nd 2.8085 8.4255 3.2801
Nd 3.8277 0.4775 0.7398
Nd 3.8277 5.1395 4.0198
Nd 5.1395 1.7893 4.0198
Nd 5.1395 3.8277 0.7398
Nd 6.0945 7.4063 5.8203
Nd 6.0945 9.4447 2.5403
Nd 7.4063 6.0945 2.5403
Nd 7.4063 10.7565 5.8203
Nd 8.4255 2.8085 0.0000
Nd 8.4255 2.8085 3.2801
Nd 9.4447 6.0945 5.8203
Nd 9.4447 10.7565 2.5403
Nd 10.7565 7.4063 2.5403
Nd 10.7565 9.4447 5.8203
Ir 1.0829 6.6999 4.9201
Ir 1.0829 10.1511 1.6400
Ir 2.8085 2.8085 2.4634
Ir 2.8085 2.8085 5.7435
Ir 4.5341 6.6999 1.6400
Ir 4.5341 10.1511 4.9201
Ir 6.6999 1.0829 1.6400
Ir 6.6999 4.5341 4.9201
Ir 8.4255 8.4255 0.8166
Ir 8.4255 8.4255 4.0967
Ir 10.1511 1.0829 4.9201
Ir 10.1511 4.5341 1.6400



[4]
16
Lattice="7.3546 0.0000 0.0000 0.0000 9.9005 0.0000 0.0000 0.0000 6.5789" Properties=species:S:1:pos:R:3 comment="Nd3Ir, relaxed, DFT r2SCAN" formation_energy_ev_per_atom=-0.516 pbc="T T T"
Nd 0.2951 2.4751 0.9418
Nd 1.2459 0.6526 4.4461
Nd 1.2459 4.2977 4.4461
Nd 2.4315 5.6029 1.1567
Nd 2.4315 9.2480 1.1567
Nd 3.3822 7.4254 4.2313
Nd 3.9724 2.4751 2.3476
Nd 4.9232 0.6526 5.4222
Nd 4.9232 4.2977 5.4222
Nd 6.1088 5.6029 2.1328
Nd 6.1088 9.2480 2.1328
Nd 7.0596 7.4254 5.6371
Ir 0.8818 7.4254 2.8968
Ir 2.7955 2.4751 6.1863
Ir 4.5591 7.4254 0.3926
Ir 6.4728 2.4751 3.6821